Entry from the Materials Project database: InAs after structural relaxation (GGA-PBE).

For the energy, the calculation gives -3.934 eV/atom. The formation energy is -44 kJ/mol of formula units. For the volume, the calculation gives 236.2 Å³/cell.

The structure belongs to space group F-43m (No. 216); the cell edges are 6.181, 6.181 and 6.181 Å and the angles 90.00°, 90.00° and 90.00°. The asymmetric unit holds In at (0.000, 0.000, 0.000) and As at (0.250, 0.250, 0.750).


Entry from the Materials Project database: InAs after structural relaxation (GGA-PBE).

For the energy, the calculation gives -3.928 eV/atom. The formation energy is -43 kJ/mol of formula units. For the volume, the calculation gives 118.4 Å³/cell.

The structure belongs to space group P6_3mc (No. 186); the cell edges are 4.3691, 4.3691 and 7.1638 Å and the angles 90.00°, 90.00° and 120.00°. The asymmetric unit holds In at (0.3333, 0.6667, 0.0000) and As at (0.3333, 0.6667, 0.3753).


Number 2 is which compound?
InAs